(1)
Density functional theory data (GGA-PBE) for Na3Sc2P3O12 after structural relaxation.

a = 9.0333 Å, b = 9.0333 Å, c = 9.0991 Å
α = 119.63°, β = 119.63°, γ = 60.18°
With the nearest neighbours (Å) after each atom.
Sites, in units of the cell vectors:
Na1 0.0000 0.5000 0.0000  6 O 2.53-2.55
Na2 0.1117 0.2514 0.2509  6 O 2.45-2.71
Na3 0.2514 0.1117 0.7509  6 O 2.45-2.71
Na4 0.5000 0.0000 0.5000  6 O 2.53-2.55
Na5 0.7486 0.8883 0.2491  6 O 2.45-2.71
Na6 0.8883 0.7486 0.7491  6 O 2.45-2.71
Sc1 0.1576 0.6468 0.4454  6 O 2.02-2.19
Sc2 0.3532 0.8424 0.0546  6 O 2.02-2.19
Sc3 0.6468 0.1576 0.9454  6 O 2.02-2.19
Sc4 0.8424 0.3532 0.5546  6 O 2.02-2.19
P1 0.0457 0.9543 0.2500  4 O 1.55-1.56
P2 0.2490 0.4508 0.7452  4 O 1.54-1.56
P3 0.4508 0.2490 0.2452  4 O 1.54-1.56
P4 0.5492 0.7510 0.7548  4 O 1.54-1.56
P5 0.7510 0.5492 0.2548  4 O 1.54-1.56
P6 0.9543 0.0457 0.7500  4 O 1.55-1.56
O1 0.0139 0.1189 0.4196  1 P 1.56
O2 0.0608 0.7807 0.2599  1 P 1.55
O3 0.0833 0.4321 0.7398  1 P 1.56
O4 0.1189 0.0139 0.9196  1 P 1.56
O5 0.2079 0.4806 0.5736  1 P 1.55
O6 0.2193 0.9392 0.2401  1 P 1.55
O7 0.2724 0.4089 0.2576  1 P 1.55
O8 0.2822 0.6185 0.9091  1 P 1.54
O9 0.3815 0.7178 0.5909  1 P 1.54
O10 0.4089 0.2724 0.7576  1 P 1.55
O11 0.4321 0.0833 0.2398  1 P 1.56
O12 0.4806 0.2079 0.0736  1 P 1.55
O13 0.5194 0.7921 0.9264  1 P 1.55
O14 0.5679 0.9167 0.7602  1 P 1.56
O15 0.5911 0.7276 0.2424  1 P 1.55
O16 0.6185 0.2822 0.4091  1 P 1.54
O17 0.7178 0.3815 0.0909  1 P 1.54
O18 0.7276 0.5911 0.7424  1 P 1.55
O19 0.7807 0.0608 0.7599  1 P 1.55
O20 0.7921 0.5194 0.4264  1 P 1.55
O21 0.8811 0.9861 0.0804  1 P 1.56
O22 0.9167 0.5679 0.2602  1 P 1.56
O23 0.9392 0.2193 0.7401  1 P 1.55
O24 0.9861 0.8811 0.5804  1 P 1.56

Output
Size of the total moment (μB/cell): 0.0
Total DFT energy (no corrections) (eV per atom): -7.268
Energy relative to the lowest polymorph listed for this composition (meV per atom): 7.6

(2)
Density functional theory data (GGA-PBE) for RbHfMg6 after structural relaxation.

a = 5.2449 Å, b = 6.6957 Å, c = 11.7660 Å
α = 90.00°, β = 90.00°, γ = 90.00°
With the nearest neighbours (Å) after each atom.
Sites, in units of the cell vectors:
Mg1 0.5000 0.7641 0.3232  6 Mg 3.10-3.28, 2 Hf 3.36-3.42, 2 Rb 3.37
Mg2 0.5000 0.2359 0.3232  6 Mg 3.10-3.28, 2 Hf 3.36-3.42, 2 Rb 3.37
Mg3 0.0000 0.0000 0.4238  2 Hf 3.21, 8 Mg 3.24-3.53, 2 Rb 3.35
Mg4 0.5000 0.7359 0.8232  6 Mg 3.10-3.28, 2 Hf 3.36-3.42, 2 Rb 3.37
Mg5 0.0000 0.2327 0.6651  6 Mg 3.12-3.28, 2 Hf 3.21, 2 Rb 3.37-3.40
Mg6 0.5000 0.0000 0.0967  6 Mg 3.10-3.28, 2 Rb 3.33, 2 Hf 3.35
Mg7 0.0000 0.2673 0.1651  6 Mg 3.12-3.28, 2 Hf 3.21, 2 Rb 3.37-3.40
Mg8 0.5000 0.5000 0.5967  6 Mg 3.10-3.28, 2 Rb 3.33, 2 Hf 3.35
Mg9 0.0000 0.5000 0.9238  2 Hf 3.21, 8 Mg 3.24-3.53, 2 Rb 3.35
Mg10 0.5000 0.2641 0.8232  6 Mg 3.10-3.28, 2 Hf 3.36-3.42, 2 Rb 3.37
Mg11 0.0000 0.7673 0.6651  6 Mg 3.12-3.28, 2 Hf 3.21, 2 Rb 3.37-3.40
Mg12 0.0000 0.7327 0.1651  6 Mg 3.12-3.28, 2 Hf 3.21, 2 Rb 3.37-3.40
Rb1 0.0000 0.0000 0.9223  12 Mg 3.33-3.40
Rb2 0.0000 0.5000 0.4223  12 Mg 3.33-3.40
Hf1 0.5000 0.5000 0.0806  12 Mg 3.21-3.42
Hf2 0.5000 0.0000 0.5806  12 Mg 3.21-3.42

Output
Size of the total moment (μB/cell): 0.0
Total DFT energy (no corrections) (eV per atom): -2.262
Energy relative to the lowest polymorph listed for this composition (meV per atom): 2.3

(3)
Density functional theory data (GGA-PBE) for Na3ZrZnP3O12 after structural relaxation.

a = 9.0954 Å, b = 9.0954 Å, c = 22.3382 Å
α = 90.16°, β = 90.16°, γ = 59.90°
With the nearest neighbours (Å) after each atom.
Sites, in units of the cell vectors:
Na1 0.0031 0.9969 0.5000  3 O 2.37-2.42
Na2 0.0323 0.3083 0.4122  4 O 2.36-2.55
Na3 0.3026 0.6509 0.4126  5 O 2.40-2.55
Na4 0.3083 0.0323 0.9122  4 O 2.36-2.55
Na5 0.3176 0.7011 0.0793  4 O 2.35-2.54
Na6 0.3251 0.3360 0.8334  3 O 2.37-2.43
Na7 0.3360 0.3251 0.3334  3 O 2.37-2.43
Na8 0.3688 0.9808 0.2463  4 O 2.32-2.53
Na9 0.3700 0.6363 0.7452  5 O 2.41-2.57
Na10 0.6363 0.3700 0.2452  5 O 2.41-2.57
Na11 0.6480 0.6977 0.6665  3 O 2.32-2.55
Na12 0.6509 0.3026 0.9126  5 O 2.40-2.55
Na13 0.6977 0.6480 0.1665  3 O 2.32-2.55
Na14 0.7011 0.3176 0.5793  4 O 2.35-2.54
Na15 0.7012 0.9709 0.0789  5 O 2.34-2.56
Na16 0.9709 0.7012 0.5789  5 O 2.34-2.56
Na17 0.9808 0.3688 0.7463  4 O 2.32-2.53
Na18 0.9969 0.0031 0.0000  3 O 2.37-2.42
Zr1 0.3196 0.3361 0.1754  6 O 2.03-2.17
Zr2 0.3361 0.3196 0.6754  6 O 2.03-2.17
Zr3 0.6588 0.6714 0.5085  6 O 2.04-2.17
Zr4 0.6714 0.6588 0.0085  6 O 2.04-2.17
Zr5 0.9908 0.9940 0.3419  6 O 2.04-2.17
Zr6 0.9940 0.9908 0.8419  6 O 2.04-2.17
Zn1 0.0022 0.9947 0.6422  6 O 2.00-2.23
Zn2 0.3204 0.3364 0.9759  5 O 1.99-2.22
Zn3 0.3364 0.3204 0.4759  5 O 1.99-2.22
Zn4 0.6674 0.6699 0.8092  5 O 1.99-2.19
Zn5 0.6699 0.6674 0.3092  5 O 1.99-2.19
Zn6 0.9947 0.0022 0.1422  6 O 2.00-2.23
P1 0.0336 0.3278 0.5702  4 O 1.53-1.59
P2 0.0356 0.6301 0.0710  4 O 1.52-1.57
P3 0.2926 0.9932 0.7407  4 O 1.52-1.58
P4 0.2948 0.7002 0.2375  4 O 1.53-1.57
P5 0.3278 0.0336 0.0702  4 O 1.53-1.59
P6 0.3283 0.6262 0.5710  4 O 1.53-1.58
P7 0.3661 0.9631 0.4013  4 O 1.52-1.59
P8 0.3700 0.6605 0.9043  4 O 1.53-1.58
P9 0.6262 0.3283 0.0710  4 O 1.53-1.58
P10 0.6301 0.0356 0.5710  4 O 1.52-1.57
P11 0.6605 0.3700 0.4043  4 O 1.53-1.58
P12 0.6603 0.9614 0.9070  4 O 1.51-1.57
P13 0.7002 0.2948 0.7375  4 O 1.53-1.57
P14 0.7002 0.9931 0.2345  4 O 1.52-1.59
P15 0.9614 0.6603 0.4070  4 O 1.51-1.57
P16 0.9631 0.3661 0.9013  4 O 1.52-1.59
P17 0.9932 0.2926 0.2407  4 O 1.52-1.58
P18 0.9931 0.7002 0.7345  4 O 1.52-1.59
O1 0.9999 0.1800 0.5765  1 P 1.53
O2 0.0098 0.8106 0.0769  1 P 1.54
O3 0.0165 0.7984 0.7883  1 P 1.57
O4 0.0198 0.1819 0.2984  1 P 1.58
O5 0.1230 0.5218 0.1283  1 P 1.57
O6 0.1279 0.3481 0.6261  1 P 1.57
O7 0.1299 0.3144 0.5128  1 P 1.53
O8 0.1432 0.5055 0.4114  1 P 1.55
O9 0.1441 0.5457 0.0163  1 P 1.52
O10 0.1447 0.3321 0.9090  1 P 1.53
O11 0.1638 0.2969 0.2361  1 P 1.58
O12 0.1639 0.5216 0.7351  1 P 1.59
O13 0.1723 0.8033 0.5779  1 P 1.53
O14 0.1800 0.9999 0.0765  1 P 1.53
O15 0.1819 0.0198 0.7984  1 P 1.58
O16 0.1859 0.7926 0.2942  1 P 1.57
O17 0.1889 0.9683 0.4028  1 P 1.59
O18 0.1929 0.8291 0.9021  1 P 1.57
O19 0.2053 0.9680 0.6867  1 P 1.52
O20 0.2094 0.8029 0.1810  1 P 1.53
O21 0.2969 0.1638 0.7361  1 P 1.58
O22 0.3077 0.5436 0.5141  1 P 1.53
O23 0.3144 0.1299 0.0128  1 P 1.53
O24 0.3158 0.5179 0.2365  1 P 1.57
O25 0.3321 0.1447 0.4090  1 P 1.53
O26 0.3481 0.1279 0.1261  1 P 1.57
O27 0.3506 0.5038 0.9112  1 P 1.53
O28 0.3537 0.5079 0.6262  1 P 1.58
O29 0.4586 0.8841 0.3429  1 P 1.52
O30 0.4617 0.6864 0.9601  1 P 1.58
O31 0.4667 0.8432 0.4551  1 P 1.57
O32 0.4711 0.8392 0.7469  1 P 1.53
O33 0.4741 0.6394 0.8478  1 P 1.53
O34 0.4749 0.6763 0.2421  1 P 1.54
O35 0.4971 0.6343 0.5686  1 P 1.57
O36 0.4989 0.8548 0.0699  1 P 1.59
O37 0.5038 0.3506 0.4112  1 P 1.53
O38 0.5055 0.1432 0.9114  1 P 1.55
O39 0.5079 0.3537 0.1262  1 P 1.58
O40 0.5179 0.3158 0.7365  1 P 1.57
O41 0.5218 0.1230 0.6283  1 P 1.57
O42 0.5216 0.1639 0.2351  1 P 1.59
O43 0.5436 0.3077 0.0141  1 P 1.53
O44 0.5457 0.1441 0.5163  1 P 1.52
O45 0.6343 0.4971 0.0686  1 P 1.57
O46 0.6359 0.8735 0.8536  1 P 1.51
O47 0.6394 0.4741 0.3478  1 P 1.53
O48 0.6471 0.8553 0.5688  1 P 1.57
O49 0.6692 0.8442 0.2426  1 P 1.53
O50 0.6763 0.4749 0.7421  1 P 1.54
O51 0.6812 0.8582 0.9657  1 P 1.57
O52 0.6864 0.4617 0.4601  1 P 1.58
O53 0.7926 0.1859 0.7942  1 P 1.57
O54 0.7931 0.9783 0.1761  1 P 1.52
O55 0.7984 0.0165 0.2883  1 P 1.57
O56 0.8033 0.1723 0.0779  1 P 1.53
O57 0.8029 0.2094 0.6810  1 P 1.53
O58 0.8106 0.0098 0.5769  1 P 1.54
O59 0.8228 0.9803 0.9028  1 P 1.57
O60 0.8291 0.1929 0.4021  1 P 1.57
O61 0.8392 0.4711 0.2469  1 P 1.53
O62 0.8432 0.4667 0.9551  1 P 1.57
O63 0.8442 0.6692 0.7426  1 P 1.53
O64 0.8548 0.4989 0.5699  1 P 1.59
O65 0.8553 0.6471 0.0688  1 P 1.57
O66 0.8582 0.6812 0.4657  1 P 1.57
O67 0.8735 0.6359 0.3536  1 P 1.51
O68 0.8841 0.4586 0.8429  1 P 1.52
O69 0.9683 0.1889 0.9028  1 P 1.59
O70 0.9680 0.2053 0.1867  1 P 1.52
O71 0.9783 0.7931 0.6761  1 P 1.52
O72 0.9803 0.8228 0.4028  1 P 1.57

Output
Size of the total moment (μB/cell): 0.0
Total DFT energy (no corrections) (eV per atom): -6.821

(4)
Density functional theory data (GGA-PBE) for K2RbGaI6 after structural relaxation.

a = 8.8582 Å, b = 8.8582 Å, c = 8.8582 Å
α = 60.00°, β = 60.00°, γ = 60.00°
With the nearest neighbours (Å) after each atom.
Sites, in units of the cell vectors:
K1 0.2500 0.2500 0.2500  12 I 4.44
K2 0.7500 0.7500 0.7500  12 I 4.44
Rb1 0.0000 0.0000 0.0000  6 I 3.46
Ga1 0.5000 0.5000 0.5000  6 I 2.81
I1 0.2758 0.2758 0.7242  1 Ga 2.81
I2 0.2758 0.7242 0.2758  1 Ga 2.81
I3 0.2758 0.7242 0.7242  1 Ga 2.81
I4 0.7242 0.2758 0.2758  1 Ga 2.81
I5 0.7242 0.2758 0.7242  1 Ga 2.81
I6 0.7242 0.7242 0.2758  1 Ga 2.81

Output
Size of the total moment (μB/cell): 0.0
Total DFT energy (no corrections) (eV per atom): -2.471

(5)
Density functional theory data (GGA-PBE) for Ga4Ni3Pt after structural relaxation.

a = 4.7469 Å, b = 4.7469 Å, c = 4.7469 Å
α = 89.70°, β = 89.70°, γ = 89.70°
With the nearest neighbours (Å) after each atom.
Sites, in units of the cell vectors:
Ga1 0.0000 0.0000 0.0000  6 Ni 2.43-2.66, 1 Pt 2.52
Ga2 0.1790 0.4774 0.6706  5 Ni 2.43-2.65, 2 Pt 2.52-2.67
Ga3 0.4774 0.6706 0.1790  5 Ni 2.43-2.65, 2 Pt 2.52-2.67
Ga4 0.6706 0.1790 0.4774  5 Ni 2.43-2.65, 2 Pt 2.52-2.67
Ni1 0.1928 0.9777 0.4731  7 Ga 2.43-2.66
Ni2 0.4731 0.1928 0.9777  7 Ga 2.43-2.66
Ni3 0.9777 0.4731 0.1928  7 Ga 2.43-2.66
Pt1 0.6953 0.6953 0.6953  7 Ga 2.52-2.67

Output
Size of the total moment (μB/cell): 0.0
Total DFT energy (no corrections) (eV per atom): -4.898